## 1
# MgFe6O6F6, optimized geometry, DFT GGA+U
data_MgFe6O6F6
_space_group_name_H-M_alt 'P 1'
_space_group_IT_number 1
_space_group_name_Hall 'P 1'
_cell_length_a 6.926
_cell_length_b 15.179
_cell_length_c 3.094
_cell_angle_alpha 90.05
_cell_angle_beta 89.66
_cell_angle_gamma 135.57
loop_
_atom_site_label
_atom_site_type_symbol
_atom_site_fract_x
_atom_site_fract_y
_atom_site_fract_z
O1 O 0.282 0.370 0.514
O2 O 0.764 0.984 0.515
O3 O 0.296 0.895 0.016
O4 O 0.221 0.675 0.521
O5 O 0.321 0.544 0.015
O6 O 0.254 0.186 0.013
F1 F 0.186 0.010 0.513
F2 F 0.765 0.634 0.509
F3 F 0.757 0.312 0.508
F4 F 0.715 0.138 0.010
F5 F 0.692 0.434 0.010
F6 F 0.717 0.797 0.013
Fe1 Fe 0.500 0.999 0.514
Fe2 Fe 0.455 0.656 0.514
Fe3 Fe 0.965 0.002 0.012
Fe4 Fe 0.160 0.730 0.021
Fe5 Fe 0.002 0.338 0.008
Fe6 Fe 0.427 0.295 0.511
Mg1 Mg 0.541 0.504 0.013
# * calculated volume: 11.982 Å³/atom

=====

## 2
# MgFe6O6F6, optimized geometry, DFT GGA+U
data_MgFe6O6F6
_space_group_name_H-M_alt 'P 1'
_space_group_IT_number 1
_space_group_name_Hall 'P 1'
_cell_length_a 5.080
_cell_length_b 14.448
_cell_length_c 3.125
_cell_angle_alpha 90.07
_cell_angle_beta 89.99
_cell_angle_gamma 84.08
loop_
_atom_site_label
_atom_site_type_symbol
_atom_site_fract_x
_atom_site_fract_y
_atom_site_fract_z
O1 O 0.463 0.751 0.981
O2 O 0.180 0.945 0.490
O3 O 0.606 0.236 0.994
O4 O 0.326 0.585 0.479
O5 O 0.098 0.254 0.495
O6 O 0.150 0.415 0.993
F1 F 0.679 0.395 0.494
F2 F 0.708 0.923 0.985
F3 F 0.290 0.101 0.992
F4 F 0.787 0.077 0.491
F5 F 0.829 0.598 0.974
F6 F 0.917 0.749 0.475
Fe1 Fe 0.917 0.310 0.995
Fe2 Fe 0.451 0.182 0.494
Fe3 Fe 0.010 0.000 0.990
Fe4 Fe 0.508 0.851 0.481
Fe5 Fe 0.153 0.677 0.976
Fe6 Fe 0.306 0.459 0.493
Mg1 Mg 0.636 0.660 0.476
# * calculated volume: 12.009 Å³/atom

=====

It is 1 that is the least stable of them.

=====

## 1
# MgFe6O6F6, optimized geometry, DFT GGA+U
data_MgFe6O6F6
_space_group_name_H-M_alt 'P 1'
_space_group_IT_number 1
_space_group_name_Hall 'P 1'
_cell_length_a 7.949
_cell_length_b 5.945
_cell_length_c 5.878
_cell_angle_alpha 68.39
_cell_angle_beta 68.68
_cell_angle_gamma 65.99
loop_
_atom_site_label
_atom_site_type_symbol
_atom_site_fract_x
_atom_site_fract_y
_atom_site_fract_z
O1 O 0.993 0.688 0.319
O2 O 0.004 0.303 0.724
O3 O 0.673 0.012 0.651
O4 O 0.372 0.439 0.371
O5 O 0.338 0.985 0.330
O6 O 0.680 0.616 0.037
Fe1 Fe 0.520 0.972 0.992
Fe2 Fe 0.150 0.326 0.384
Fe3 Fe 0.011 0.992 0.021
Fe4 Fe 0.686 0.316 0.367
Fe5 Fe 0.858 0.671 0.675
Fe6 Fe 0.321 0.669 0.553
F1 F 0.674 0.133 0.069
F2 F 0.983 0.228 0.259
F3 F 0.334 0.374 0.914
F4 F 0.326 0.860 0.911
F5 F 0.595 0.566 0.611
F6 F 0.053 0.770 0.747
Mg1 Mg 0.496 0.497 0.993
# * calculated volume: 12.017 Å³/atom

=====

## 2
# MgFe6O6F6, optimized geometry, DFT GGA+U
data_MgFe6O6F6
_space_group_name_H-M_alt 'P 1'
_space_group_IT_number 1
_space_group_name_Hall 'P 1'
_cell_length_a 8.188
_cell_length_b 5.735
_cell_length_c 5.941
_cell_angle_alpha 67.90
_cell_angle_beta 64.49
_cell_angle_gamma 68.18
loop_
_atom_site_label
_atom_site_type_symbol
_atom_site_fract_x
_atom_site_fract_y
_atom_site_fract_z
O1 O 0.302 0.995 0.349
O2 O 0.367 0.427 0.491
O3 O 0.993 0.252 0.671
O4 O 0.636 0.628 0.039
O5 O 0.022 0.725 0.342
O6 O 0.686 0.052 0.642
F1 F 0.679 0.085 0.130
F2 F 0.928 0.277 0.209
F3 F 0.349 0.400 0.982
F4 F 0.318 0.917 0.861
F5 F 0.061 0.725 0.798
F6 F 0.614 0.600 0.526
Fe1 Fe 0.338 0.698 0.640
Fe2 Fe 0.637 0.327 0.337
Fe3 Fe 0.506 0.985 0.995
Fe4 Fe 0.002 0.992 0.011
Fe5 Fe 0.198 0.379 0.379
Fe6 Fe 0.803 0.610 0.678
Mg1 Mg 0.976 0.008 0.515
# * calculated volume: 11.885 Å³/atom

=====

## 3
# MgFe6O6F6, optimized geometry, DFT GGA+U
data_MgFe6O6F6
_space_group_name_H-M_alt 'P 1'
_space_group_IT_number 1
_space_group_name_Hall 'P 1'
_cell_length_a 5.043
_cell_length_b 7.979
_cell_length_c 5.944
_cell_angle_alpha 100.71
_cell_angle_beta 94.22
_cell_angle_gamma 88.10
loop_
_atom_site_label
_atom_site_type_symbol
_atom_site_fract_x
_atom_site_fract_y
_atom_site_fract_z
O1 O 0.722 0.426 0.095
O2 O 0.290 0.879 0.230
O3 O 0.270 0.245 0.558
O4 O 0.761 0.455 0.589
O5 O 0.228 0.879 0.731
O6 O 0.785 0.778 0.940
Fe1 Fe 0.968 0.336 0.322
Fe2 Fe 0.000 0.662 0.671
Fe3 Fe 0.363 0.013 0.523
Fe4 Fe 0.575 0.337 0.787
Fe5 Fe 0.553 0.670 0.160
Fe6 Fe 0.031 0.961 0.021
F1 F 0.224 0.553 0.392
F2 F 0.689 0.098 0.749
F3 F 0.710 0.793 0.477
F4 F 0.315 0.550 0.859
F5 F 0.169 0.204 0.059
F6 F 0.812 0.104 0.273
Mg1 Mg 0.509 0.690 0.682
# * calculated volume: 12.333 Å³/atom

=====

It is 3 that is the least stable of them.

=====

## 1
# Mn3B7BrO13, optimized geometry, DFT GGA+U
data_Mn3B7BrO13
_space_group_name_H-M_alt 'P 1'
_space_group_IT_number 1
_space_group_name_Hall 'P 1'
_cell_length_a 8.767
_cell_length_b 8.767
_cell_length_c 8.767
_cell_angle_alpha 60.00
_cell_angle_beta 60.00
_cell_angle_gamma 60.00
loop_
_atom_site_label
_atom_site_type_symbol
_atom_site_fract_x
_atom_site_fract_y
_atom_site_fract_z
Mn1 Mn 0.000 0.500 0.500
Mn2 Mn 0.500 0.500 0.000
Mn3 Mn 0.500 0.000 0.500
Mn4 Mn 0.000 0.000 0.500
Mn5 Mn 0.500 0.000 0.000
Mn6 Mn 0.000 0.500 0.000
O1 O 0.749 0.064 0.891
O2 O 0.249 0.564 0.797
O3 O 0.000 0.000 0.000
O4 O 0.797 0.249 0.564
O5 O 0.064 0.297 0.891
O6 O 0.797 0.564 0.391
O7 O 0.297 0.064 0.749
O8 O 0.797 0.391 0.249
O9 O 0.297 0.891 0.064
O10 O 0.249 0.797 0.391
O11 O 0.249 0.391 0.564
O12 O 0.064 0.891 0.749
O13 O 0.891 0.297 0.749
O14 O 0.500 0.500 0.500
O15 O 0.891 0.749 0.064
O16 O 0.749 0.297 0.064
O17 O 0.391 0.797 0.564
O18 O 0.391 0.249 0.797
O19 O 0.564 0.391 0.797
O20 O 0.564 0.249 0.391
O21 O 0.891 0.064 0.297
O22 O 0.749 0.891 0.297
O23 O 0.391 0.564 0.249
O24 O 0.064 0.749 0.297
O25 O 0.564 0.797 0.249
O26 O 0.297 0.749 0.891
B1 B 0.920 0.239 0.920
B2 B 0.250 0.250 0.750
B3 B 0.250 0.750 0.750
B4 B 0.420 0.420 0.739
B5 B 0.750 0.250 0.750
B6 B 0.250 0.750 0.250
B7 B 0.420 0.420 0.420
B8 B 0.739 0.420 0.420
B9 B 0.420 0.739 0.420
B10 B 0.920 0.920 0.239
B11 B 0.750 0.750 0.250
B12 B 0.920 0.920 0.920
B13 B 0.239 0.920 0.920
B14 B 0.750 0.250 0.250
Br1 Br 0.750 0.750 0.750
Br2 Br 0.250 0.250 0.250
# * calculated volume: 9.928 Å³/atom

=====

## 2
# Mn3B7BrO13, optimized geometry, DFT GGA+U
data_Mn3B7BrO13
_space_group_name_H-M_alt 'P 1'
_space_group_IT_number 1
_space_group_name_Hall 'P 1'
_cell_length_a 8.785
_cell_length_b 8.805
_cell_length_c 12.455
_cell_angle_alpha 90.00
_cell_angle_beta 90.00
_cell_angle_gamma 90.00
loop_
_atom_site_label
_atom_site_type_symbol
_atom_site_fract_x
_atom_site_fract_y
_atom_site_fract_z
O1 O 0.817 0.643 0.929
O2 O 0.907 0.535 0.356
O3 O 0.750 0.773 0.242
O4 O 0.976 0.338 0.230
O5 O 0.907 0.965 0.856
O6 O 0.125 0.179 0.569
O7 O 0.667 0.038 0.783
O8 O 0.323 0.383 0.940
O9 O 0.333 0.962 0.283
O10 O 0.158 0.530 0.280
O11 O 0.488 0.838 0.732
O12 O 0.093 0.465 0.856
O13 O 0.323 0.117 0.440
O14 O 0.464 0.091 0.659
O15 O 0.406 0.455 0.345
O16 O 0.024 0.838 0.230
O17 O 0.536 0.591 0.659
O18 O 0.875 0.679 0.569
O19 O 0.842 0.470 0.780
O20 O 0.512 0.162 0.232
O21 O 0.667 0.462 0.283
O22 O 0.056 0.094 0.166
O23 O 0.637 0.814 0.572
O24 O 0.875 0.821 0.069
O25 O 0.250 0.273 0.242
O26 O 0.842 0.030 0.280
O27 O 0.637 0.686 0.072
O28 O 0.944 0.906 0.666
O29 O 0.056 0.406 0.666
O30 O 0.464 0.409 0.159
O31 O 0.677 0.883 0.940
O32 O 0.677 0.617 0.440
O33 O 0.594 0.545 0.845
O34 O 0.944 0.594 0.166
O35 O 0.976 0.162 0.730
O36 O 0.512 0.338 0.732
O37 O 0.093 0.035 0.356
O38 O 0.406 0.045 0.845
O39 O 0.024 0.662 0.730
O40 O 0.333 0.538 0.783
O41 O 0.125 0.321 0.069
O42 O 0.817 0.857 0.429
O43 O 0.363 0.314 0.572
O44 O 0.536 0.909 0.159
O45 O 0.594 0.955 0.345
O46 O 0.183 0.143 0.929
O47 O 0.183 0.357 0.429
O48 O 0.488 0.662 0.232
O49 O 0.750 0.727 0.742
O50 O 0.363 0.186 0.072
O51 O 0.250 0.227 0.742
O52 O 0.158 0.970 0.780
B1 B 0.250 0.406 0.326
B2 B 0.496 0.999 0.254
B3 B 0.504 0.499 0.254
B4 B 0.751 0.545 0.356
B5 B 0.098 0.256 0.176
B6 B 0.753 0.743 0.502
B7 B 0.599 0.745 0.675
B8 B 0.247 0.257 0.002
B9 B 0.504 0.001 0.754
B10 B 0.250 0.094 0.826
B11 B 0.249 0.045 0.356
B12 B 0.750 0.594 0.826
B13 B 0.997 0.000 0.756
B14 B 0.997 0.500 0.256
B15 B 0.496 0.501 0.754
B16 B 0.401 0.255 0.175
B17 B 0.753 0.757 0.002
B18 B 0.902 0.744 0.676
B19 B 0.902 0.756 0.176
B20 B 0.003 0.000 0.256
B21 B 0.003 0.500 0.756
B22 B 0.751 0.955 0.856
B23 B 0.247 0.243 0.502
B24 B 0.249 0.455 0.856
B25 B 0.401 0.245 0.675
B26 B 0.750 0.906 0.326
B27 B 0.599 0.755 0.175
B28 B 0.098 0.244 0.676
Mn1 Mn 0.970 0.489 0.009
Mn2 Mn 0.471 0.988 0.005
Mn3 Mn 0.529 0.488 0.005
Mn4 Mn 0.030 0.989 0.009
Mn5 Mn 0.252 0.740 0.231
Mn6 Mn 0.252 0.760 0.731
Mn7 Mn 0.529 0.012 0.505
Mn8 Mn 0.748 0.240 0.231
Mn9 Mn 0.970 0.011 0.509
Mn10 Mn 0.748 0.260 0.731
Mn11 Mn 0.030 0.511 0.509
Mn12 Mn 0.471 0.512 0.505
Br1 Br 0.251 0.761 0.010
Br2 Br 0.251 0.739 0.510
Br3 Br 0.749 0.239 0.510
Br4 Br 0.749 0.261 0.010
# * calculated volume: 10.036 Å³/atom

=====

It is 1 that is the least stable of them.